18
Lattice="0.0000 11.4502 3.6742 5.9087 0.0000 3.6742 5.9087 11.4502 0.0000" Properties=species:S:1:pos:R:3 comment="PBE-GGA GeS2, relaxed" dft_energy_ev_per_fu=-13.87 e_ij_max_c_m2=0.11 formation_enthalpy_0k_mev_per_atom=-661 space_group="Fdd2 (43)" mass_density_g_cm3=2.7 pbc="T T T"
Ge 0.0000 0.0000 0.0000
Ge 7.3450 14.0354 1.8874
Ge 2.9543 5.7251 1.8371
Ge 4.4724 8.8651 1.8874
Ge 4.3907 3.1400 3.7245
Ge 7.4267 19.7605 3.7245
S 1.8658 0.5134 1.1462
S 2.3898 4.0438 0.4494
S 3.5189 7.4065 0.4494
S 6.6728 8.4957 2.1669
S 4.8201 5.2117 2.9833
S 4.0429 10.9368 1.1462
S 8.0989 14.2208 4.0040
S 5.1445 14.4048 2.1669
S 6.9972 17.6888 2.9833
S 3.7185 8.6797 4.0040
S 6.4733 9.7689 5.9607
S 5.3441 13.1316 5.9607



234
Lattice="9.0491 0.0000 0.0000 -0.0185 15.6458 0.0000 -0.0044 -0.0029 22.8552" Properties=species:S:1:pos:R:3 comment="PBE-GGA Na10NbIn7P12O48, relaxed" dft_energy_ev_per_fu=-512.22 formation_enthalpy_0k_mev_per_atom=-2566 space_group="P1 (1)" mass_density_g_cm3=3.5 pbc="T T T"
Na 0.0000 0.0000 0.0000
Na 9.0405 4.7279 7.5645
Na -0.0092 9.9515 0.0141
Na 1.1911 12.5118 18.9847
Na 1.2164 2.1289 11.4395
Na 1.2174 7.8279 11.4222
Na 1.6246 12.7983 11.4329
Na 2.7695 4.9847 17.0670
Na 2.8443 15.4148 1.9562
Na 2.8515 15.4095 13.3420
Na 2.8669 5.0006 5.7209
Na 2.9031 10.1083 20.8368
Na 2.9664 10.1806 9.4189
Na 4.0866 12.8026 0.0156
Na 4.5073 7.8333 0.0009
Na 4.5206 2.1315 0.0133
Na 5.7259 4.6890 18.9792
Na 5.7387 5.2170 3.8756
Na 5.7351 9.9645 11.4197
Na 5.7493 -0.0005 11.4347
Na 6.1536 4.9716 11.4249
Na 6.1688 10.2011 3.8628
Na 7.2857 12.8077 17.0663
Na 7.3217 2.3029 9.4131
Na 7.3799 7.5894 13.3398
Na 7.3729 12.9462 5.7111
Na 7.4440 2.2862 20.8372
Na 7.4927 7.5809 2.0034
Na 8.6151 4.9713 0.0159
Na 9.0263 10.4573 7.5688
Nb 2.8439 15.4143 5.3069
Nb 2.8617 15.4251 16.6773
Nb 7.3960 7.6025 16.6782
In 2.7928 4.9717 2.3279
In 2.8005 4.9832 20.4561
In 2.8368 10.2206 1.6284
In 2.8524 15.4076 9.8246
In 2.8696 4.9783 13.7820
In 2.8592 10.1900 13.0819
In 2.8608 15.4309 21.2468
In 2.8885 10.1458 17.4983
In 2.8911 10.1688 6.0915
In 2.9335 4.9657 9.0908
In 7.3191 12.8083 20.4549
In 7.3247 12.8679 9.0528
In 7.3649 2.3283 6.0999
In 7.3621 7.5913 9.8191
In 7.4018 2.3166 1.6396
In 7.3961 2.3655 13.0828
In 7.3903 7.6070 21.2576
In 7.3816 12.8019 13.7790
In 7.4222 2.3230 17.4990
In 7.4294 7.5813 5.3449
In 7.4192 12.8536 2.3391
P 0.1463 10.1986 3.8176
P 0.1952 4.9708 11.4002
P 0.1942 15.4257 19.0487
P 1.0003 12.7998 22.8012
P 1.0434 2.3750 15.2458
P 1.0439 7.5843 7.6538
P 1.5078 7.8542 15.2407
P 1.5010 12.5284 15.2795
P 1.5212 2.0670 7.6245
P 1.5250 2.6687 22.8400
P 1.5199 13.0979 7.6188
P 1.5299 7.2903 22.8326
P 4.1722 13.1092 19.0288
P 4.1882 7.2890 11.4409
P 4.2057 2.6668 11.4464
P 4.1962 12.5427 3.8038
P 4.2120 2.0678 19.0406
P 4.2089 7.8582 3.7857
P 4.6922 2.3558 3.8000
P 4.7091 12.7979 11.4392
P 4.7290 7.6029 19.0506
P 5.5066 15.4205 7.6189
P 5.5292 4.9673 22.8432
P 5.5595 10.1972 15.2457
P 6.0250 9.9359 7.6180
P 6.0428 0.0294 15.2430
P 6.0372 4.7060 15.2796
P 6.0426 5.2362 7.5942
P 6.0436 10.5048 0.0216
P 6.0475 15.1022 22.8445
P 8.7046 5.2867 19.0291
P 8.7023 15.1090 11.4275
P 8.7282 4.6977 3.8252
P 8.7189 10.5043 11.3973
P 8.7258 9.8909 19.0408
P 8.7643 0.0379 3.8240
O 9.0322 12.9913 7.6085
O 0.0040 2.2437 7.4768
O -0.0052 12.7332 15.1646
O 0.1269 7.3237 6.4489
O 0.1160 13.0728 1.1614
O 0.1451 2.5784 16.4477
O 0.1741 12.5446 21.5192
O 0.2256 7.8354 8.9511
O 0.2885 2.0671 13.9326
O 0.9482 10.0115 2.5027
O 0.9574 15.6010 20.3801
O 1.0074 4.7074 10.1068
O 1.0075 10.3712 5.0712
O 1.0939 5.2441 12.6034
O 1.1825 5.2047 19.0372
O 1.2025 4.8496 3.7294
O 1.1989 10.0874 18.8977
O 1.2035 15.2767 11.2972
O 1.2165 10.3533 11.5583
O 1.2283 15.2794 17.8668
O 1.2641 15.5496 4.0662
O 1.6273 8.6590 13.9283
O 1.7078 3.5574 21.6010
O 1.7071 6.4051 1.2144
O 1.7515 1.3057 8.9363
O 1.7755 11.6952 16.5285
O 1.8695 8.8812 7.5187
O 1.8796 6.2878 7.7448
O 1.9058 11.5375 0.0910
O 1.9417 1.0779 15.4944
O 1.9211 14.0573 22.7160
O 1.9347 14.0447 6.4191
O 1.9776 3.5751 15.1457
O 2.0719 6.4421 15.1433
O 2.0727 13.6690 8.9310
O 2.1129 11.6893 7.4599
O 2.1234 8.5311 16.4454
O 2.1381 1.2385 6.4259
O 2.1475 11.9927 13.9848
O 2.1628 1.2479 22.7225
O 2.1635 8.7116 0.1164
O 2.1790 3.4615 7.6107
O 2.1769 13.9607 15.4945
O 2.2154 3.2674 1.2183
O 2.2093 6.6851 21.5960
O 3.4660 11.7455 18.8850
O 3.5147 6.6932 10.1977
O 3.5224 3.2777 12.6674
O 3.5444 3.4657 19.0434
O 3.5545 8.7091 11.5770
O 3.5519 13.9599 4.0628
O 3.5732 1.2446 11.3156
O 3.5853 8.5273 4.9934
O 3.5783 12.0474 2.4719
O 3.5717 13.6707 20.3443
O 3.5933 1.2481 17.8531
O 3.6518 6.4201 3.6897
O 3.7771 1.0968 4.0554
O 3.7663 14.0580 17.8411
O 3.7855 14.0552 11.3117
O 3.7968 11.5357 11.5785
O 3.8315 3.6302 3.6877
O 3.8281 8.8226 18.9120
O 3.9533 11.5948 4.9671
O 3.9626 6.2519 19.0517
O 4.0022 1.3167 20.3681
O 4.0116 6.3962 12.6694
O 4.0276 3.5392 10.1952
O 4.0230 8.6906 2.4800
O 4.4487 15.5562 15.4850
O 4.4654 15.3154 6.4260
O 4.4948 10.3400 0.1311
O 4.5042 10.0955 7.5149
O 4.5186 5.0925 7.6835
O 4.4997 15.2714 22.7194
O 4.5309 4.9106 15.1681
O 4.6745 5.2192 1.2431
O 4.6624 10.4032 16.4495
O 4.6788 4.7250 21.5745
O 4.7444 15.5965 8.9462
O 4.8031 9.8894 13.9356
O 5.4424 2.0563 2.4778
O 5.4926 7.7802 20.3840
O 5.5579 12.5148 10.1920
O 5.5739 13.0853 12.6656
O 5.6220 2.6282 4.9690
O 5.6987 13.0251 19.0411
O 5.7344 2.2639 18.8984
O 5.7394 7.4510 11.3082
O 5.7285 12.6634 3.7019
O 5.7549 2.5145 11.5818
O 5.7620 7.4555 17.8687
O 5.7641 7.7503 3.8926
O 6.1629 0.8343 13.9297
O 6.2269 14.2176 1.2248
O 6.2495 11.4035 21.6535
O 6.2690 9.1341 8.9206
O 6.3119 3.8723 16.5284
O 6.3114 6.0702 6.3245
O 6.3182 14.1220 7.5834
O 6.3876 1.0228 7.4716
O 6.4394 3.7063 0.1196
O 6.4417 6.2317 22.7365
O 6.4572 8.9001 15.4964
O 6.4993 11.3933 15.1445
O 6.5920 14.2661 15.1494
O 6.6550 0.7105 16.4472
O 6.6711 5.8497 8.8789
O 6.6682 9.2850 6.3673
O 6.6837 4.1697 13.9839
O 6.6771 11.0886 1.2993
O 6.6855 9.0873 22.7424
O 6.7105 0.8771 0.1270
O 6.7128 6.1376 15.4936
O 6.7261 14.5060 21.6025
O 6.7773 3.8702 7.5177
O 6.7790 11.2944 7.6960
O 7.9990 3.9230 18.8850
O 8.0007 6.0720 3.8870
O 8.0333 11.1392 12.6055
O 8.0317 14.5175 10.1775
O 8.0550 11.2868 19.0425
O 8.0804 0.8805 11.5671
O 8.0957 4.0831 2.5312
O 8.0871 9.0766 11.3014
O 8.1023 5.8483 20.3448
O 8.1091 9.0704 17.8527
O 8.1323 0.7329 5.0047
O 8.1586 14.2751 3.7378
O 8.2639 8.9529 3.8879
O 8.2563 11.4341 3.7385
O 8.2976 6.2350 17.8412
O 8.3215 6.2288 11.2974
O 8.3398 3.7070 11.5578
O 8.3615 1.0010 18.9108
O 8.4447 3.8722 5.0843
O 8.4746 14.0770 19.0465
O 8.5139 9.1384 20.3689
O 8.5244 14.2156 12.6547
O 8.5385 11.3438 10.1087
O 8.6488 0.8093 2.4850
O 8.9826 7.7341 15.4836
O 9.0331 2.5101 0.1222
O 9.0280 7.4481 22.7108



12
Lattice="5.5135 0.0000 0.0000 0.0000 3.2898 0.0000 0.0000 0.0000 17.8020" Properties=species:S:1:pos:R:3 comment="PBE-GGA MgSn5, relaxed" dft_energy_ev_per_fu=-21.24 formation_enthalpy_0k_mev_per_atom=68 space_group="Amm2 (38)" mass_density_g_cm3=6.4 pbc="T T T"
Mg 0.0000 0.0000 0.0000
Mg 0.0000 1.6449 8.9010
Sn 0.0000 0.0000 5.9789
Sn 0.0000 0.0000 11.7869
Sn 0.0000 1.6449 2.8859
Sn 0.0000 1.6449 14.8799
Sn 2.7568 0.0000 1.9367
Sn 2.7568 0.0000 7.9528
Sn 2.7568 0.0000 13.8483
Sn 2.7568 1.6449 4.9473
Sn 2.7568 1.6449 10.8377
Sn 2.7568 1.6449 16.8537



43
Lattice="-1.7719 9.3223 11.5380 1.7719 -9.3223 11.5380 1.7719 9.3223 -11.5380" Properties=species:S:1:pos:R:3 comment="PBE-GGA Hf27P16, relaxed" dft_energy_ev_per_fu=-401.58 formation_enthalpy_0k_mev_per_atom=-1073 space_group="Immm (71)" mass_density_g_cm3=11.6 pbc="T T T"
Hf 0.0000 0.0000 0.0000
Hf 1.7719 1.7338 -1.8453
Hf 1.7719 6.8377 -7.3250
Hf 1.7719 -3.4669 6.5673
Hf 1.7719 1.7338 1.8453
Hf 1.7719 -4.7423 9.8955
Hf 1.7719 0.0000 4.9682
Hf 1.7719 6.8724 -2.5054
Hf 0.0000 2.4846 4.2130
Hf 0.0000 4.5801 1.6425
Hf 1.7719 0.0000 8.1520
Hf 0.0000 7.7591 0.0000
Hf 1.7719 3.4669 6.5673
Hf 1.7719 6.8724 2.5054
Hf 0.0000 2.4499 9.0326
Hf 0.0000 5.8555 4.9707
Hf 0.0000 10.8856 0.0000
Hf 0.0000 9.3223 3.3860
Hf 1.7719 4.7423 9.8955
Hf 1.7719 6.8377 7.3250
Hf 0.0000 2.4499 14.0434
Hf 0.0000 9.3223 6.5698
Hf 0.0000 14.0646 1.6425
Hf 0.0000 7.5886 9.6927
Hf 0.0000 12.7892 4.9707
Hf 0.0000 2.4846 18.8630
Hf 0.0000 7.5886 13.3833
P 1.7719 4.3157 -3.6179
P 0.0000 0.0000 2.8773
P 0.0000 2.5826 0.0000
P 1.7719 7.9104 -4.9502
P 1.7719 5.7556 0.0000
P 0.0000 1.4120 6.5878
P 1.7719 4.3157 3.6179
P 0.0000 0.0000 10.1507
P 0.0000 0.0000 12.9253
P 0.0000 5.0067 7.9201
P 1.7719 7.9104 4.9502
P 0.0000 3.5667 11.5380
P 0.0000 1.4120 16.4882
P 0.0000 16.0621 0.0000
P 0.0000 0.0000 20.1987
P 0.0000 5.0067 15.1559



6
Lattice="4.2416 0.0000 0.0000 0.0000 2.9572 0.0000 -2.0437 0.0000 4.5569" Properties=species:S:1:pos:R:3 comment="PBE-GGA ReN2, relaxed" dft_energy_ev_per_fu=-28.21 formation_enthalpy_0k_mev_per_atom=62 space_group="P2/c (13)" mass_density_g_cm3=12.4 pbc="T T T"
Re -0.5109 0.5620 1.1392
Re -1.5327 2.3952 3.4176
N -0.0421 0.8925 3.1519
N 0.9798 2.0647 0.8735
N 1.2182 0.8925 3.6834
N 2.2400 2.0647 1.4050